Arrangement a

This record from the Materials Project describes a relaxed MgV3SnO8 crystal. The functional is PBE+U.

Calculated values
* V: 12.80 Å³/atom
* crystal system: triclinic
* M_tot: 5.00 μB per formula unit
* space-group type: No. 1

Unit cell a=6.682 b=6.697 c=6.834 alpha=73.12 beta=106.89 gamma=145.16
Fractional positions:
O (0.532, 0.426, 0.385)
O (0.625, 0.319, 0.988)
O (0.209, 0.743, 0.368)
O (0.737, 0.218, 0.673)
O (0.434, 0.554, 0.637)
O (0.830, 0.122, 0.295)
O (0.324, 0.622, 0.996)
O (0.101, 0.846, 0.689)
Sn (0.662, 0.289, 0.293)
V (0.272, 0.683, 0.692)
V (0.640, 0.449, 0.693)
V (0.368, 0.582, 0.330)
Mg (0.787, 0.156, 0.990)

***

Arrangement b

This record from the Materials Project describes a relaxed MgV3SnO8 crystal. The functional is PBE+U.

Calculated values
* V: 12.98 Å³/atom
* crystal system: monoclinic
* M_tot: 5.00 μB per formula unit
* space-group type: No. 8

Unit cell a=6.587 b=6.587 c=7.067 alpha=74.63 beta=105.37 gamma=145.04
Fractional positions:
Sn (0.706, 0.294, 0.324)
O (0.434, 0.566, 0.622)
O (0.562, 0.438, 0.388)
O (0.768, 0.232, 0.649)
O (0.230, 0.770, 0.299)
O (0.146, 0.854, 0.711)
O (0.349, 0.651, 0.988)
O (0.640, 0.360, 0.009)
O (0.867, 0.133, 0.297)
V (0.312, 0.688, 0.736)
V (0.598, 0.402, 0.681)
V (0.402, 0.598, 0.316)
Mg (0.175, 0.825, 0.000)

***

Relative to the most stable structure, the computed energies are arrangement a 0.0; arrangement b 1.9, all in kJ/mol of atoms.

***

Arrangement a

This record from the Materials Project describes a relaxed CaMn6O5F7 crystal. The functional is PBE+U.

Calculated values
* V: 12.57 Å³/atom
* crystal system: monoclinic
* M_tot: 27.00 μB per formula unit
* space-group type: No. 5

Unit cell a=6.586 b=6.442 c=6.442 alpha=63.52 beta=79.36 gamma=79.36
Fractional positions:
O (0.333, 0.975, 0.359)
O (0.928, 0.202, 0.310)
O (0.645, 0.641, 0.600)
O (0.738, 0.023, 0.132)
O (0.021, 0.734, 0.692)
F (0.663, 0.640, 0.090)
F (0.333, 0.388, 0.945)
F (0.013, 0.613, 0.269)
F (0.653, 0.065, 0.720)
F (0.385, 0.425, 0.454)
F (0.282, 0.879, 0.909)
F (0.004, 0.244, 0.693)
Mn (0.716, 0.408, 0.447)
Mn (0.333, 0.691, 0.642)
Mn (0.475, 0.980, 0.053)
Mn (0.833, 0.894, 0.439)
Mn (0.192, 0.280, 0.353)
Mn (0.951, 0.886, 0.926)
Ca (0.833, 0.408, 0.926)

***

Arrangement b

This record from the Materials Project describes a relaxed CaMn6O5F7 crystal. The functional is PBE+U.

Calculated values
* V: 14.16 Å³/atom
* crystal system: triclinic
* M_tot: 27.00 μB per formula unit
* space-group type: No. 1

Unit cell a=7.152 b=6.658 c=6.047 alpha=89.21 beta=77.33 gamma=73.57
Fractional positions:
F (0.003, 0.272, 0.681)
F (0.353, 0.407, 0.460)
F (0.651, 0.617, 0.087)
F (0.331, 0.393, 0.984)
F (0.304, 0.966, 0.826)
F (0.654, 0.066, 0.643)
F (0.984, 0.610, 0.387)
Mn (0.993, 0.042, 0.944)
Mn (0.843, 0.590, 0.757)
Mn (0.496, 0.079, 0.955)
Mn (0.159, 0.312, 0.323)
Mn (0.673, 0.358, 0.332)
Mn (0.320, 0.624, 0.747)
O (0.708, 0.103, 0.093)
O (0.611, 0.585, 0.593)
O (0.355, 0.046, 0.246)
O (0.022, 0.764, 0.832)
O (0.971, 0.246, 0.188)
Ca (0.651, 0.848, 0.360)

***

Relative to the most stable structure, the computed energies are arrangement a 0.0; arrangement b 4.2, all in kJ/mol of atoms.

***

Arrangement a

This record from the Materials Project describes a relaxed Na2LiMnPCO7 crystal. The functional is PBE+U.

Calculated values
* V: 12.05 Å³/atom
* crystal system: triclinic
* M_tot: 0.00 μB per formula unit
* space-group type: No. 1

Unit cell a=5.177 b=8.902 c=6.804 alpha=92.41 beta=89.87 gamma=88.44
Fractional positions:
O (0.965, 0.060, 0.759)
O (0.185, 0.426, 0.729)
O (0.799, 0.321, 0.058)
O (0.042, 0.888, 0.265)
O (0.473, 0.861, 0.262)
O (0.614, 0.914, 0.763)
O (0.207, 0.688, 0.576)
O (0.289, 0.094, 0.267)
O (0.420, 0.426, 0.267)
O (0.596, 0.571, 0.747)
O (0.563, 0.162, 0.733)
O (0.204, 0.674, 0.939)
O (0.836, 0.326, 0.423)
O (0.826, 0.576, 0.249)
P (0.295, 0.587, 0.748)
P (0.722, 0.414, 0.248)
Na (0.756, 0.087, 0.271)
Na (0.255, 0.245, 0.985)
Na (0.750, 0.748, 0.001)
Na (0.746, 0.746, 0.511)
C (0.716, 0.045, 0.752)
C (0.268, 0.949, 0.265)
Li (0.235, 0.895, 0.736)
Li (0.227, 0.291, 0.452)
Mn (0.226, 0.644, 0.254)
Mn (0.786, 0.361, 0.741)

***

Arrangement b

This record from the Materials Project describes a relaxed Na2LiMnPCO7 crystal. The functional is PBE+U.

Calculated values
* V: 11.90 Å³/atom
* crystal system: monoclinic
* M_tot: 0.00 μB per formula unit
* space-group type: No. 7

Unit cell a=6.787 b=8.886 c=10.263 alpha=89.48 beta=90.00 gamma=90.00
Fractional positions:
Li (0.007, 0.914, 0.126)
Li (0.993, 0.914, 0.626)
Li (0.734, 0.270, 0.618)
Li (0.266, 0.270, 0.118)
O (0.982, 0.430, 0.589)
O (0.018, 0.430, 0.089)
O (0.001, 0.572, 0.300)
O (0.313, 0.318, 0.400)
O (0.183, 0.692, 0.110)
O (0.525, 0.090, 0.641)
O (0.999, 0.572, 0.800)
O (0.500, 0.570, 0.411)
O (0.000, 0.912, 0.332)
O (0.687, 0.318, 0.900)
O (0.512, 0.423, 0.701)
O (0.320, 0.317, 0.896)
O (0.001, 0.093, 0.487)
O (0.680, 0.317, 0.396)
O (0.499, 0.861, 0.736)
O (0.182, 0.680, 0.606)
O (0.999, 0.093, 0.987)
O (0.998, 0.155, 0.772)
O (0.000, 0.912, 0.832)
O (0.501, 0.861, 0.236)
O (0.817, 0.692, 0.610)
O (0.818, 0.680, 0.106)
O (0.500, 0.570, 0.911)
O (0.500, 0.881, 0.019)
O (0.488, 0.423, 0.201)
O (0.500, 0.881, 0.519)
O (0.002, 0.155, 0.272)
O (0.475, 0.090, 0.141)
P (0.995, 0.591, 0.649)
P (0.005, 0.591, 0.149)
P (0.505, 0.409, 0.853)
P (0.495, 0.409, 0.353)
Na (0.499, 0.084, 0.379)
Na (0.751, 0.255, 0.125)
Na (0.752, 0.743, 0.376)
Na (0.249, 0.744, 0.376)
Na (0.248, 0.743, 0.876)
Na (0.751, 0.744, 0.876)
Na (0.249, 0.255, 0.625)
Na (0.501, 0.084, 0.879)
Mn (0.501, 0.640, 0.112)
Mn (0.499, 0.640, 0.612)
Mn (0.002, 0.360, 0.889)
Mn (0.998, 0.360, 0.389)
C (0.508, 0.945, 0.632)
C (0.999, 0.053, 0.865)
C (0.492, 0.945, 0.132)
C (0.001, 0.053, 0.365)

***

Relative to the most stable structure, the computed energies are arrangement a 0.0; arrangement b 0.8, all in kJ/mol of atoms.

***

Arrangement a

This record from the Materials Project describes a relaxed MgCd2Te2Mo2O12 crystal. The functional is PBE+U.

Calculated values
* V: 15.79 Å³/atom
* crystal system: monoclinic
* M_tot: 2.00 μB per formula unit
* space-group type: No. 3

Unit cell a=5.431 b=5.373 c=10.335 alpha=90.00 beta=90.00 gamma=84.17
Fractional positions:
O (0.657, 0.762, 0.118)
O (0.667, 0.199, 0.613)
O (0.831, 0.743, 0.710)
O (0.169, 0.257, 0.710)
O (0.333, 0.801, 0.613)
O (0.207, 0.290, 0.388)
O (0.254, 0.768, 0.313)
O (0.746, 0.232, 0.313)
O (0.224, 0.627, 0.907)
O (0.793, 0.710, 0.388)
O (0.343, 0.238, 0.118)
O (0.776, 0.373, 0.907)
Te (0.500, 0.000, 0.726)
Te (0.000, 0.500, 0.265)
Cd (0.000, 0.000, 0.482)
Cd (0.500, 0.500, 0.470)
Mo (0.500, 0.000, 0.242)
Mo (0.000, 0.500, 0.808)
Mg (0.500, 0.500, 0.035)

***

Arrangement b

This record from the Materials Project describes a relaxed MgCd2Te2Mo2O12 crystal. The functional is PBE+U.

Calculated values
* V: 13.45 Å³/atom
* crystal system: orthorhombic
* M_tot: 2.00 μB per formula unit
* space-group type: No. 35

Unit cell a=5.212 b=5.212 c=9.409 alpha=90.00 beta=90.00 gamma=89.71
Fractional positions:
Te (0.000, 0.500, 0.227)
Te (0.500, 0.000, 0.749)
O (0.706, 0.206, 0.257)
O (0.256, 0.244, 0.063)
O (0.694, 0.194, 0.605)
O (0.835, 0.665, 0.395)
O (0.744, 0.756, 0.063)
O (0.294, 0.794, 0.257)
O (0.306, 0.806, 0.605)
O (0.165, 0.335, 0.395)
O (0.195, 0.305, 0.745)
O (0.805, 0.695, 0.745)
O (0.243, 0.743, 0.950)
O (0.757, 0.257, 0.950)
Mo (0.000, 0.500, 0.900)
Mo (0.500, 0.000, 0.117)
Mg (0.000, 0.500, 0.597)
Cd (0.500, 0.500, 0.465)
Cd (0.000, 0.000, 0.465)

***

Relative to the most stable structure, the computed energies are arrangement a 0.0; arrangement b 9.7, all in kJ/mol of atoms.